{"formula": "TiP2H4O9", "functional": "GGA-PBE", "state": "relaxed", "cell": [[5.0586, 0.0000, 0.0000], [0.0000, 8.7558, 0.0000], [0.0000, 5.5770, 15.4618]], "species": ["O", "H", "O", "O", "H", "O", "O", "O", "O", "O", "O", "Ti", "H", "O", "O", "P", "O", "H", "O", "H", "H", "H", "O", "P", "O", "P", "Ti", "O", "O", "Ti", "P", "P", "O", "H", "O", "P", "O", "P", "P", "H", "H", "Ti", "O", "O", "O", "H", "O", "H", "O", "O", "O", "H", "O", "H", "O", "O", "O", "O", "O", "H", "H", "O", "O", "O"], "frac_coords": [[0.4475, 0.1478, 0.0865], [0.9244, 0.1519, 0.2702], [0.2463, 0.5135, 0.3002], [0.3316, 0.8860, 0.0610], [0.1955, 0.3007, 0.1752], [0.0374, 0.5800, 0.5636], [0.4626, 0.5800, 0.0636], [0.1684, 0.8860, 0.5610], [0.2849, 0.2587, 0.7385], [0.5374, 0.4200, 0.9364], [0.8316, 0.1140, 0.4390], [0.7521, 0.2414, 0.0113], [0.1187, 0.1967, 0.7502], [0.9626, 0.4200, 0.4364], [0.7537, 0.4865, 0.6998], [0.7557, 0.5320, 0.5986], [0.6684, 0.1140, 0.9390], [0.3813, 0.1967, 0.2502], [0.4667, 0.9359, 0.4110], [0.8045, 0.6993, 0.8248], [0.4244, 0.8481, 0.2298], [0.3045, 0.3007, 0.6752], [0.7849, 0.7413, 0.7615], [0.2525, 0.0045, 0.1075], [0.7546, 0.0912, 0.2914], [0.7525, 0.9955, 0.3925], [0.2521, 0.7586, 0.4887], [0.9667, 0.0641, 0.0890], [0.7454, 0.0912, 0.7914], [0.7479, 0.2414, 0.5113], [0.7475, 0.9955, 0.8925], [0.7443, 0.5320, 0.0986], [0.1646, 0.6247, 0.9157], [0.0756, 0.8481, 0.7298], [0.0625, 0.3267, 0.9413], [0.2475, 0.0045, 0.6075], [0.6646, 0.3753, 0.5843], [0.2557, 0.4680, 0.9014], [0.2443, 0.4680, 0.4014], [0.2656, 0.4210, 0.7774], [0.2344, 0.4210, 0.2774], [0.2479, 0.7586, 0.9887], [0.8354, 0.3753, 0.0843], [0.7151, 0.7413, 0.2615], [0.5525, 0.8522, 0.9135], [0.7656, 0.5790, 0.7226], [0.2454, 0.9088, 0.7086], [0.6955, 0.6993, 0.3248], [0.0525, 0.1478, 0.5865], [0.2537, 0.5135, 0.8002], [0.5625, 0.6733, 0.5587], [0.6187, 0.8033, 0.7498], [0.3354, 0.6247, 0.4157], [0.8813, 0.8033, 0.2498], [0.7463, 0.4865, 0.1998], [0.0333, 0.9359, 0.9110], [0.2546, 0.9088, 0.2086], [0.9375, 0.6733, 0.0587], [0.4375, 0.3267, 0.4413], [0.5756, 0.1519, 0.7702], [0.7344, 0.5790, 0.2226], [0.5333, 0.0641, 0.5890], [0.2151, 0.2587, 0.2385], [0.9475, 0.8522, 0.4135]], "formation_energy_ev_per_atom": -2.332, "crystal_system": "monoclinic", "energy_ev_per_cell": -431.8}